No. 1
Mg6AlCo: relaxed, PBE-GGA.

Values from the calculation:
Energy above the lowest structure with this stoichiometry: 0.018 eV per atom

```
Mg6AlCo
1.0
4.857 0.000 0.000
0.000 6.016 0.000
0.000 0.000 10.529
Mg Co Al
12 2 2
direct
0.000 0.759 0.587
0.000 0.741 0.087
0.000 0.000 0.825
0.000 0.500 0.831
0.500 0.750 0.417
0.500 0.250 0.917
0.500 0.750 0.917
0.000 0.000 0.331
0.000 0.259 0.087
0.000 0.500 0.325
0.000 0.241 0.587
0.500 0.250 0.417
0.500 0.000 0.667
0.500 0.500 0.167
0.500 0.000 0.168
0.500 0.500 0.668
```


No. 2
LuMg2Mn3S8: relaxed, PBE-GGA.

Values from the calculation:
Corrected total energy (MP2020 scheme): -86.420 eV for the cell shown

```
LuMg2Mn3S8
1.0
3.692 2.132 6.081
-3.692 2.132 6.081
0.000 -4.264 6.081
Lu Mg Mn S
1 2 3 8
direct
0.000 0.000 0.000
0.375 0.375 0.375
0.625 0.625 0.625
0.000 0.000 0.500
0.000 0.500 0.000
0.500 0.000 0.000
0.219 0.749 0.749
0.239 0.239 0.239
0.251 0.251 0.781
0.251 0.781 0.251
0.749 0.219 0.749
0.749 0.749 0.219
0.761 0.761 0.761
0.781 0.251 0.251
```


No. 3
Li3TiP2O8: relaxed, PBE-GGA.

Values from the calculation:
Energy above the lowest structure with this stoichiometry: 0.000 eV per atom
Corrected total energy (MP2020 scheme): -103.379 eV for the cell shown

```
Li3TiP2O8
1.0
4.155 -2.749 0.000
4.155 2.749 0.000
-0.052 0.000 6.251
Li Ti P O
3 1 2 8
direct
0.000 0.000 0.000
0.330 0.330 0.778
0.670 0.670 0.222
0.000 0.000 0.500
0.350 0.350 0.267
0.650 0.650 0.733
0.243 0.243 0.067
0.244 0.244 0.471
0.244 0.689 0.272
0.311 0.756 0.728
0.689 0.244 0.272
0.756 0.311 0.728
0.756 0.756 0.529
0.757 0.757 0.933
```


No. 4
NaSrPO4: relaxed, PBE-GGA.

Values from the calculation:
Corrected total energy (MP2020 scheme): -197.526 eV for the cell shown

```
NaSrPO4
1.0
7.117 0.000 0.000
0.000 5.508 0.000
0.000 0.000 9.774
Na Sr P O
4 4 4 16
direct
0.175 0.250 0.071
0.325 0.750 0.571
0.675 0.250 0.429
0.825 0.750 0.929
0.009 0.750 0.302
0.491 0.250 0.802
0.509 0.750 0.198
0.991 0.250 0.698
0.230 0.250 0.421
0.270 0.750 0.921
0.730 0.250 0.079
0.770 0.750 0.579
0.012 0.250 0.422
0.195 0.750 0.072
0.196 0.518 0.848
0.196 0.982 0.848
0.304 0.018 0.348
0.304 0.482 0.348
0.305 0.250 0.572
0.488 0.750 0.922
0.512 0.250 0.078
0.695 0.750 0.428
0.696 0.518 0.652
0.696 0.982 0.652
0.804 0.018 0.152
0.804 0.482 0.152
0.805 0.250 0.928
0.988 0.750 0.578
```


No. 5
Cr3NiSb4: relaxed, PBE-GGA.

Values from the calculation:
Corrected total energy (MP2020 scheme): -51.797 eV for the cell shown

```
Cr3NiSb4
1.0
4.038 0.000 0.000
-2.019 3.497 0.000
0.000 0.000 11.343
Cr Ni Sb
3 1 4
direct
0.000 0.000 0.000
0.000 0.000 0.256
0.000 0.000 0.744
0.000 0.000 0.500
0.333 0.667 0.388
0.333 0.667 0.873
0.667 0.333 0.127
0.667 0.333 0.612
```


No. 6
YZrO3: relaxed, PBE-GGA.

Values from the calculation:
Corrected total energy (MP2020 scheme): -383.335 eV for the cell shown

```
YZrO3
1.0
-5.235 5.245 5.246
5.235 -5.245 5.246
5.235 5.245 -5.246
Y Zr O
8 8 24
direct
0.012 0.250 0.262
0.227 0.477 0.750
0.250 0.728 0.478
0.273 0.023 0.250
0.488 0.750 0.238
0.521 0.250 0.771
0.750 0.772 0.022
0.979 0.750 0.729
0.250 0.243 0.993
0.502 0.504 0.479
0.525 0.024 0.021
0.742 0.992 0.750
0.750 0.257 0.507
0.758 0.508 0.250
0.975 0.996 0.499
0.998 0.476 0.001
0.000 0.524 0.764
0.022 0.991 0.264
0.028 0.768 0.509
0.227 0.758 0.236
0.232 0.471 0.004
0.240 0.976 0.976
0.260 0.236 0.736
0.268 0.272 0.238
0.273 0.509 0.531
0.472 0.981 0.740
0.478 0.742 0.969
0.500 0.264 0.524
0.519 0.747 0.493
0.523 0.265 0.037
0.534 0.029 0.262
0.728 0.486 0.463
0.741 0.732 0.760
0.745 0.753 0.271
0.755 0.026 0.007
0.759 0.519 0.991
0.772 0.235 0.758
0.966 0.228 0.496
0.977 0.014 0.742
0.981 0.474 0.229
```


No. 7
Ba3CrS5: relaxed, PBE-GGA.

Values from the calculation:
Corrected total energy (MP2020 scheme): -104.189 eV for the cell shown

```
Ba3CrS5
1.0
9.294 0.000 0.000
-4.647 8.049 0.000
0.000 0.000 6.166
Ba Cr S
6 2 10
direct
0.000 0.379 0.000
0.000 0.621 0.500
0.379 0.000 0.000
0.379 0.379 0.500
0.621 0.000 0.500
0.621 0.621 0.000
0.000 0.000 0.265
0.000 0.000 0.765
0.000 0.208 0.515
0.000 0.792 0.015
0.208 0.000 0.515
0.208 0.208 0.015
0.333 0.667 0.250
0.333 0.667 0.750
0.667 0.333 0.250
0.667 0.333 0.750
0.792 0.000 0.015
0.792 0.792 0.515
```


No. 8
Mg30TiNbO32: relaxed, PBE-GGA.

Values from the calculation:
Corrected total energy (MP2020 scheme): -412.933 eV for the cell shown

```
Mg30TiNbO32
1.0
8.564 0.000 0.000
0.000 8.564 0.000
0.000 0.000 8.588
Mg Ti Nb O
30 1 1 32
direct
0.000 0.000 0.000
0.000 0.250 0.249
0.000 0.250 0.751
0.000 0.500 0.000
0.000 0.500 0.500
0.000 0.750 0.249
0.000 0.750 0.751
0.248 0.500 0.248
0.248 0.500 0.752
0.250 0.000 0.249
0.250 0.000 0.751
0.250 0.250 0.000
0.250 0.250 0.500
0.250 0.750 0.000
0.250 0.750 0.500
0.500 0.000 0.000
0.500 0.000 0.500
0.500 0.248 0.248
0.500 0.248 0.752
0.500 0.500 0.000
0.500 0.752 0.248
0.500 0.752 0.752
0.750 0.000 0.249
0.750 0.000 0.751
0.750 0.250 0.000
0.750 0.250 0.500
0.750 0.750 0.000
0.750 0.750 0.500
0.752 0.500 0.248
0.752 0.500 0.752
0.000 0.000 0.500
0.500 0.500 0.500
0.000 0.000 0.241
0.000 0.000 0.759
0.000 0.251 0.000
0.000 0.251 0.500
0.000 0.500 0.249
0.000 0.500 0.751
0.000 0.749 0.000
0.000 0.749 0.500
0.238 0.500 0.500
0.249 0.500 0.000
0.250 0.250 0.251
0.250 0.250 0.749
0.250 0.750 0.251
0.250 0.750 0.749
0.251 0.000 0.000
0.251 0.000 0.500
0.500 0.000 0.249
0.500 0.000 0.751
0.500 0.238 0.500
0.500 0.249 0.000
0.500 0.500 0.238
0.500 0.500 0.762
0.500 0.751 0.000
0.500 0.762 0.500
0.749 0.000 0.000
0.749 0.000 0.500
0.750 0.250 0.251
0.750 0.250 0.749
0.750 0.750 0.251
0.750 0.750 0.749
0.751 0.500 0.000
0.762 0.500 0.500
```


Number 1: DFT formation energy 83 kJ/mol of formula units. Number 2: DFT formation energy -1748 kJ/mol of formula units. Number 3: DFT formation energy -3796 kJ/mol of formula units. Number 4: DFT formation energy -2042 kJ/mol of formula units. Number 5: DFT formation energy -52 kJ/mol of formula units. Number 6: DFT formation energy -1742 kJ/mol of formula units. Number 7: DFT formation energy -1544 kJ/mol of formula units. Number 8: DFT formation energy -18196 kJ/mol of formula units.